Here is an optimized crystal structure of NaMnPCO7 from Materials Project. Energies are from PBE with a Hubbard U.

Calculated values
Magnetization ... 12.0 μB per cell
Total energy ... -7.0197 eV per atom
Energy of formation ... -2.18 eV per atom
Polymorph energy (0 for the lowest one) ... 7 meV per atom

a = 6.2319 Å, b = 9.2041 Å, c = 10.5003 Å
α = 87.37°, β = 90.00°, γ = 90.00°
Closest atoms and distances in Å follow each position.
Element x y z (fractional)
Mn 0.2460 0.6555 0.6084  6 O 1.90-1.99
O 0.7470 0.4261 0.5627  1 P 1.53
O 0.9410 0.6671 0.6087  1 P 1.55
Na 0.9616 0.7623 0.8785  3 O 2.23-2.47
P 0.2485 0.4351 0.8617  4 O 1.53-1.55
P 0.2515 0.4351 0.3617  4 O 1.53-1.55
C 0.2463 0.9155 0.6361  3 O 1.23-1.33
Na 0.5384 0.7623 0.3785  3 O 2.23-2.47
O 0.2596 0.8133 0.2299  1 C 1.33
O 0.7445 0.1456 0.4749  1 C 1.32
O 0.2426 0.0472 0.6523  1 C 1.23
O 0.7426 0.9528 0.8477  1 C 1.23
O 0.2445 0.8544 0.0251  1 C 1.32
O 0.0553 0.3348 0.8981  1 P 1.55
C 0.2537 0.9155 0.1361  3 O 1.23-1.33
C 0.7463 0.0845 0.8639  3 O 1.23-1.33
O 0.7404 0.1867 0.7701  1 C 1.33
O 0.9447 0.6652 0.1019  1 P 1.55
Mn 0.7540 0.3445 0.3916  6 O 1.90-1.99
Mn 0.2540 0.6555 0.1084  6 O 1.90-1.99
O 0.7512 0.5225 0.2834  1 P 1.55
Na 0.0384 0.2377 0.1215  3 O 2.23-2.47
O 0.2470 0.5739 0.9373  1 P 1.53
O 0.7596 0.1867 0.2701  1 C 1.33
O 0.5590 0.6671 0.1087  1 P 1.55
Na 0.4616 0.2377 0.6215  3 O 2.23-2.47
O 0.2488 0.4775 0.7166  1 P 1.55
O 0.2512 0.4775 0.2166  1 P 1.55
O 0.7555 0.1456 0.9749  1 C 1.32
O 0.4447 0.3348 0.3981  1 P 1.55
C 0.7537 0.0845 0.3639  3 O 1.23-1.33
O 0.2404 0.8133 0.7299  1 C 1.33
O 0.2574 0.0472 0.1523  1 C 1.23
O 0.7574 0.9528 0.3477  1 C 1.23
O 0.7488 0.5225 0.7834  1 P 1.55
O 0.4410 0.3329 0.8913  1 P 1.55
P 0.7485 0.5649 0.6383  4 O 1.53-1.55
Mn 0.7460 0.3445 0.8916  6 O 1.90-1.99
O 0.2530 0.5739 0.4373  1 P 1.53
O 0.0590 0.3329 0.3913  1 P 1.55
O 0.5553 0.6652 0.6019  1 P 1.55
P 0.7515 0.5649 0.1383  4 O 1.53-1.55
O 0.2555 0.8544 0.5251  1 C 1.32
O 0.7530 0.4261 0.0627  1 P 1.53